A relaxed structure of LaAu3, computed with r2SCAN.

```
LaAu3
1.0
6.681 0.000 0.000
-3.340 5.786 0.000
0.000 0.000 4.700
La Au
2 6
direct
0.333 0.667 0.750
0.667 0.333 0.250
0.698 0.849 0.250
0.302 0.151 0.750
0.151 0.302 0.250
0.151 0.849 0.250
0.849 0.151 0.750
0.849 0.698 0.750
```

Values from the calculation:
Space-group type: P6_3/mmc
Energy relative to the elements: -0.7590 eV per atom
Total magnetization: 0.000 Bohr magnetons per cell

A relaxed structure of CaGa6Te10, computed with r2SCAN.

```
CaGa6Te10
1.0
7.321 7.417 0.011
-7.321 7.417 0.011
0.000 0.029 10.358
Ga Te Ca
12 20 2
direct
0.095 0.315 0.122
0.130 0.582 0.426
0.088 0.404 0.747
0.907 0.998 0.167
0.383 0.178 0.839
0.418 0.870 0.574
0.508 0.577 0.338
0.423 0.492 0.662
0.002 0.093 0.833
0.685 0.905 0.878
0.596 0.912 0.253
0.822 0.617 0.161
0.431 0.922 0.827
0.927 0.318 0.930
0.940 0.499 0.567
0.006 0.174 0.313
0.577 0.674 0.569
0.823 0.814 0.324
0.186 0.177 0.676
0.082 0.918 0.000
0.252 0.569 0.833
0.431 0.748 0.167
0.176 0.824 0.500
0.826 0.994 0.687
0.682 0.073 0.070
0.326 0.423 0.431
0.336 0.247 0.080
0.501 0.060 0.433
0.692 0.431 0.258
0.753 0.664 0.920
0.078 0.569 0.173
0.569 0.308 0.742
0.259 0.001 0.252
0.999 0.741 0.748
```

Values from the calculation:
Space-group type: C2
Energy relative to the elements: -0.5859 eV per atom
Total magnetization: 0.000 Bohr magnetons per cell

A relaxed structure of LiSmSn, computed with r2SCAN.

```
LiSmSn
1.0
4.227 7.969 2.735
-8.858 -1.796 2.677
2.590 -3.508 6.217
Li Sm Sn
8 8 8
direct
0.833 0.666 0.710
0.167 0.334 0.210
0.333 0.667 0.830
0.667 0.333 0.330
0.334 0.167 0.710
0.833 0.167 0.710
0.666 0.833 0.210
0.167 0.833 0.210
0.000 0.000 0.501
0.977 0.488 0.006
0.488 0.977 0.506
0.512 0.488 0.006
0.488 0.512 0.506
0.512 0.023 0.006
0.000 0.000 0.001
0.023 0.512 0.506
0.833 0.167 0.271
0.333 0.667 0.237
0.667 0.833 0.771
0.167 0.833 0.771
0.333 0.167 0.271
0.833 0.667 0.271
0.167 0.333 0.771
0.667 0.333 0.737
```

Values from the calculation:
Space-group type: P6_3mc
Energy relative to the elements: -0.7779 eV per atom
Total magnetization: 0.000 Bohr magnetons per cell

A relaxed structure of PdSe2Br6, computed with r2SCAN.

```
PdSe2Br6
1.0
-1.794 -1.925 3.930
6.873 -0.491 2.300
-2.486 8.479 1.789
Br Se Pd
6 2 1
direct
0.249 0.674 0.945
0.913 0.001 0.284
0.318 0.638 0.351
0.087 0.999 0.716
0.751 0.326 0.055
0.682 0.362 0.649
0.675 0.279 0.295
0.325 0.721 0.705
0.000 0.500 0.500
```

Values from the calculation:
Space-group type: P-1
Energy relative to the elements: -0.2602 eV per atom
Total magnetization: 0.000 Bohr magnetons per cell

A relaxed structure of TbCo2Si2, computed with r2SCAN.

```
TbCo2Si2
1.0
-2.043 0.066 -3.272
3.079 1.347 -1.896
0.881 -5.261 1.619
Co Si Tb
2 2 1
direct
0.250 0.750 0.500
0.750 0.250 0.500
0.370 0.370 0.740
0.630 0.630 0.260
0.000 0.000 0.000
```

Values from the calculation:
Space-group type: I4/mmm
Energy relative to the elements: -0.7750 eV per atom
Total magnetization: 0.000 Bohr magnetons per cell

A relaxed structure of DyGeRh, computed with r2SCAN.

```
DyGeRh
1.0
4.299 0.000 0.000
0.000 6.912 0.000
0.000 0.000 7.505
Rh Ge Dy
4 4 4
direct
0.750 0.345 0.432
0.250 0.655 0.568
0.250 0.155 0.932
0.750 0.845 0.068
0.250 0.790 0.895
0.750 0.210 0.105
0.250 0.290 0.605
0.750 0.710 0.395
0.750 0.999 0.696
0.750 0.499 0.804
0.250 0.501 0.196
0.250 0.001 0.304
```

Values from the calculation:
Space-group type: Pnma
Energy relative to the elements: -1.0664 eV per atom
Total magnetization: 0.000 Bohr magnetons per cell

A relaxed structure of LiSbF6, computed with r2SCAN.

```
LiSbF6
1.0
4.460 0.038 2.966
1.609 4.160 2.966
0.055 0.038 5.356
F Li Sb
6 1 1
direct
0.757 0.371 0.115
0.243 0.629 0.885
0.885 0.243 0.629
0.115 0.757 0.371
0.629 0.885 0.243
0.371 0.115 0.757
0.500 0.500 0.500
0.000 0.000 0.000
```

Values from the calculation:
Space-group type: R-3
Energy relative to the elements: -2.7397 eV per atom
Total magnetization: 0.000 Bohr magnetons per cell

A relaxed structure of Y5Si2B8, computed with r2SCAN.

```
Y5Si2B8
1.0
7.237 0.000 0.000
0.000 7.237 0.000
0.000 0.000 8.120
B Y Si
16 10 4
direct
0.172 0.039 0.000
0.672 0.461 0.000
0.591 0.909 0.000
0.409 0.091 0.000
0.961 0.172 0.000
0.000 0.000 0.839
0.000 0.000 0.161
0.091 0.591 0.000
0.539 0.672 0.000
0.909 0.409 0.000
0.500 0.500 0.161
0.039 0.828 0.000
0.461 0.328 0.000
0.828 0.961 0.000
0.500 0.500 0.839
0.328 0.539 0.000
0.181 0.319 0.224
0.500 0.500 0.500
0.000 0.000 0.500
0.319 0.819 0.224
0.819 0.681 0.224
0.319 0.819 0.776
0.181 0.319 0.776
0.819 0.681 0.776
0.681 0.181 0.776
0.681 0.181 0.224
0.385 0.115 0.500
0.115 0.615 0.500
0.885 0.385 0.500
0.615 0.885 0.500
```

Values from the calculation:
Space-group type: P4/mbm
Energy relative to the elements: -0.7452 eV per atom
Total magnetization: 0.000 Bohr magnetons per cell

A relaxed structure of Ba4As2O, computed with r2SCAN.

```
Ba4As2O
1.0
-4.493 1.032 2.410
-2.447 0.067 -4.590
1.895 -9.078 1.805
Ba As O
4 2 1
direct
0.000 0.500 0.000
0.500 0.000 0.000
0.675 0.675 0.351
0.325 0.325 0.649
0.136 0.136 0.271
0.864 0.864 0.729
0.500 0.500 0.000
```

Values from the calculation:
Space-group type: I4/mmm
Energy relative to the elements: -1.6834 eV per atom
Total magnetization: 0.000 Bohr magnetons per cell

A relaxed structure of DyPPd, computed with r2SCAN.

```
DyPPd
1.0
4.001 0.000 0.000
0.000 6.926 0.000
0.000 0.000 7.724
Pd Dy P
4 4 4
direct
0.750 0.350 0.438
0.750 0.850 0.062
0.250 0.150 0.938
0.250 0.650 0.562
0.750 0.970 0.689
0.250 0.030 0.311
0.750 0.470 0.811
0.250 0.530 0.189
0.250 0.250 0.622
0.750 0.250 0.122
0.250 0.750 0.878
0.750 0.750 0.378
```

Values from the calculation:
Space-group type: Pnma
Energy relative to the elements: -1.3794 eV per atom
Total magnetization: 0.000 Bohr magnetons per cell

A relaxed structure of Cd3Se3O10, computed with r2SCAN.

```
Cd3Se3O10
1.0
5.384 0.000 0.000
0.000 8.342 0.042
0.000 3.427 10.280
O Cd Se
20 6 6
direct
0.091 0.248 0.413
0.462 0.472 0.319
0.541 0.160 0.980
0.962 0.528 0.681
0.401 0.212 0.223
0.010 0.221 0.950
0.364 0.912 0.822
0.461 0.260 0.667
0.064 0.462 0.168
0.611 0.119 0.511
0.510 0.779 0.050
0.926 0.162 0.687
0.111 0.881 0.489
0.564 0.538 0.832
0.961 0.740 0.333
0.426 0.838 0.313
0.901 0.788 0.777
0.864 0.088 0.178
0.591 0.752 0.587
0.041 0.840 0.020
0.769 0.637 0.200
0.269 0.363 0.800
0.749 0.996 0.873
0.249 0.004 0.127
0.239 0.029 0.614
0.739 0.971 0.386
0.773 0.253 0.046
0.273 0.747 0.954
0.256 0.345 0.283
0.716 0.274 0.570
0.216 0.726 0.430
0.756 0.655 0.717
```

Values from the calculation:
Space-group type: P2_1
Energy relative to the elements: -1.0750 eV per atom
Total magnetization: 0.000 Bohr magnetons per cell

A relaxed structure of BPd3, computed with r2SCAN.

```
BPd3
1.0
4.871 0.000 0.000
0.000 5.486 0.000
0.000 0.000 7.637
B Pd
4 12
direct
0.935 0.612 0.750
0.435 0.888 0.250
0.565 0.112 0.750
0.065 0.388 0.250
0.825 0.321 0.572
0.325 0.179 0.072
0.325 0.179 0.428
0.342 0.461 0.750
0.842 0.039 0.250
0.675 0.821 0.572
0.658 0.539 0.250
0.675 0.821 0.928
0.175 0.679 0.428
0.175 0.679 0.072
0.825 0.321 0.928
0.158 0.961 0.750
```

Values from the calculation:
Space-group type: Pnma
Energy relative to the elements: -0.2632 eV per atom
Total magnetization: 0.000 Bohr magnetons per cell

A relaxed structure of Er4Al24Pd9, computed with r2SCAN.

```
Er4Al24Pd9
1.0
2.557 6.244 -3.246
5.887 3.618 2.924
8.754 -4.942 -8.339
Al Er Pd
24 4 9
direct
0.648 0.500 0.055
0.813 0.500 0.560
0.854 0.167 0.438
0.938 0.370 0.185
0.062 0.630 0.815
0.520 0.833 0.440
0.187 0.500 0.440
0.267 0.836 0.816
0.352 0.500 0.945
0.855 0.042 0.816
0.146 0.833 0.562
0.109 0.160 0.670
0.145 0.958 0.184
0.217 0.165 0.329
0.437 0.507 0.672
0.316 0.166 0.055
0.783 0.835 0.671
0.684 0.834 0.945
0.015 0.167 0.955
0.563 0.493 0.328
0.985 0.833 0.045
0.733 0.164 0.184
0.480 0.167 0.560
0.891 0.840 0.330
0.394 0.168 0.808
0.606 0.832 0.192
0.266 0.502 0.192
0.734 0.498 0.808
0.538 0.167 0.361
0.120 0.492 0.639
0.657 0.172 0.000
0.880 0.508 0.361
0.343 0.828 0.000
0.462 0.833 0.639
0.000 0.500 0.000
0.779 0.175 0.638
0.221 0.825 0.362
```

Values from the calculation:
Space-group type: P-1
Energy relative to the elements: -0.7530 eV per atom
Total magnetization: 0.000 Bohr magnetons per cell

A relaxed structure of CrHgO4, computed with r2SCAN.

```
CrHgO4
1.0
-6.379 3.948 -3.933
-3.502 -1.775 3.898
-1.851 4.403 7.423
O Cr Hg
16 4 4
direct
0.386 0.592 0.343
0.067 0.769 0.492
0.433 0.769 0.992
0.860 0.203 0.897
0.640 0.203 0.397
0.721 0.726 0.779
0.140 0.797 0.103
0.779 0.726 0.279
0.114 0.592 0.843
0.567 0.231 0.008
0.886 0.408 0.157
0.933 0.231 0.508
0.221 0.274 0.721
0.279 0.274 0.221
0.360 0.797 0.603
0.614 0.408 0.657
0.311 0.609 0.162
0.689 0.391 0.838
0.811 0.391 0.338
0.189 0.609 0.662
0.461 0.089 0.664
0.539 0.911 0.336
0.961 0.911 0.836
0.039 0.089 0.164
```

Values from the calculation:
Space-group type: P2_1/c
Energy relative to the elements: -1.2953 eV per atom
Total magnetization: 0.000 Bohr magnetons per cell

A relaxed structure of MnO2, computed with r2SCAN.

```
MnO2
1.0
5.646 0.000 0.000
-2.823 4.890 0.000
0.000 0.000 8.660
O Mn
16 8
direct
0.665 0.831 0.599
0.038 0.518 0.341
0.958 0.478 0.841
0.331 0.164 0.099
0.999 0.998 0.319
0.998 0.997 0.819
0.518 0.478 0.841
0.518 0.037 0.841
0.479 0.958 0.341
0.832 0.164 0.099
0.832 0.665 0.099
0.664 0.331 0.600
0.332 0.665 0.100
0.164 0.330 0.599
0.164 0.831 0.599
0.479 0.518 0.341
0.664 0.830 0.211
0.331 0.664 0.485
0.166 0.830 0.211
0.332 0.165 0.711
0.665 0.331 0.985
0.830 0.165 0.711
0.830 0.662 0.711
0.166 0.332 0.211
```

Values from the calculation:
Space-group type: P6_3mc
Energy relative to the elements: -1.9901 eV per atom
Total magnetization: 24.000 Bohr magnetons per cell

A relaxed structure of KCuS, computed with r2SCAN.

```
KCuS
1.0
-3.160 3.486 2.436
1.185 -2.720 5.431
8.359 6.556 1.460
K S Cu
4 4 4
direct
0.747 0.024 0.654
0.747 0.476 0.154
0.247 0.976 0.346
0.247 0.524 0.846
0.749 0.724 0.412
0.249 0.276 0.588
0.249 0.224 0.088
0.749 0.776 0.912
0.499 0.000 0.000
0.999 0.500 0.500
0.999 0.000 0.000
0.499 0.500 0.500
```

Values from the calculation:
Space-group type: Pna2_1
Energy relative to the elements: -0.8583 eV per atom
Total magnetization: 0.000 Bohr magnetons per cell